This record from Materials Project describes an optimized crystal structure of Li6Fe7O15. The functional is PBE+U.

a = 7.949 Å, b = 7.949 Å, c = 9.006 Å
α = 78.63°, β = 78.63°, γ = 28.74°
Element x y z (fractional)
O1 0.280 0.280 0.738
O2 0.707 0.707 0.950
Li1 0.597 0.597 0.475
Li2 0.403 0.403 0.525
O3 0.488 0.488 0.665
O4 0.905 0.905 0.516
O5 0.720 0.720 0.262
Fe1 0.806 0.806 0.069
O6 0.293 0.293 0.050
Fe2 0.194 0.194 0.931
O7 0.906 0.906 0.876
O8 0.096 0.096 0.800
Fe3 0.997 0.997 0.670
Fe4 0.193 0.193 0.607
Fe5 0.000 0.000 0.000
Fe6 0.807 0.807 0.393
Li3 0.403 0.403 0.866
Fe7 0.003 0.003 0.330
O9 0.708 0.708 0.579
O10 0.512 0.512 0.335
O11 0.094 0.094 0.124
Li4 0.202 0.202 0.267
O12 0.095 0.095 0.484
O13 0.904 0.904 0.200
Li5 0.798 0.798 0.733
O14 0.500 0.500 0.000
O15 0.292 0.292 0.421
Li6 0.597 0.597 0.134

Values from the calculation:
- uncorrected energy (eV per atom) = -5.948
- ΔH_f (0 K) (eV/atom) = -1.70



This record from Materials Project describes an optimized crystal structure of Mn2O3F. The functional is PBE+U.

a = 4.592 Å, b = 5.524 Å, c = 10.182 Å
α = 83.13°, β = 90.00°, γ = 90.00°
Element x y z (fractional)
Mn1 0.978 0.745 0.261
F1 0.183 0.781 0.090
O1 0.797 0.483 0.176
O2 0.203 0.517 0.824
O3 0.806 0.723 0.428
O4 0.699 0.991 0.171
Mn2 0.500 0.500 0.500
Mn3 0.000 0.500 0.000
Mn4 0.022 0.255 0.739
O5 0.194 0.277 0.572
O6 0.301 0.009 0.829
O7 0.703 0.483 0.676
Mn5 0.000 0.000 0.500
Mn6 0.500 0.000 0.000
Mn7 0.478 0.255 0.239
O8 0.297 0.517 0.324
F2 0.317 0.781 0.590
F3 0.817 0.219 0.910
O9 0.801 0.991 0.671
F4 0.683 0.219 0.410
O10 0.694 0.723 0.928
O11 0.199 0.009 0.329
Mn8 0.522 0.745 0.761
O12 0.306 0.277 0.072

Values from the calculation:
- uncorrected energy (eV per atom) = -6.886
- ΔH_f (0 K) (eV/atom) = -2.01



This record from Materials Project describes an optimized crystal structure of Nd7VSe8O4. The functional is PBE+U.

a = 4.048 Å, b = 14.483 Å, c = 15.848 Å
α = 90.00°, β = 90.00°, γ = 90.00°
Element x y z (fractional)
O1 0.500 0.172 0.188
Se1 0.500 0.618 0.531
Se2 0.000 0.844 0.236
O2 0.000 0.955 0.882
Se3 0.000 0.930 0.673
Se4 0.000 0.430 0.827
Nd1 0.500 0.780 0.664
Nd2 0.500 0.507 0.311
Nd3 0.000 0.791 0.882
Nd4 0.500 0.493 0.689
Nd5 0.000 0.500 0.000
Se5 0.500 0.854 0.472
Nd6 0.000 0.000 0.500
Nd7 0.500 0.720 0.164
V1 0.000 0.000 0.000
Se6 0.000 0.344 0.264
Nd8 0.000 0.209 0.118
Se7 0.500 0.354 0.028
Nd9 0.500 0.993 0.811
Nd10 0.500 0.220 0.336
O3 0.500 0.672 0.312
Se8 0.000 0.070 0.327
Se9 0.500 0.882 0.031
Nd11 0.000 0.291 0.618
Se10 0.500 0.146 0.528
O4 0.000 0.545 0.382
O5 0.000 0.045 0.118
Nd12 0.500 0.007 0.189
O6 0.500 0.828 0.812
Se11 0.000 0.656 0.736
Nd13 0.500 0.280 0.836
V2 0.000 0.500 0.500
Se12 0.500 0.118 0.969
Se13 0.000 0.156 0.764
Se14 0.500 0.382 0.469
Se15 0.000 0.570 0.173
O7 0.500 0.328 0.688
Se16 0.500 0.646 0.972
O8 0.000 0.455 0.618
Nd14 0.000 0.709 0.382

Values from the calculation:
- uncorrected energy (eV per atom) = -6.708
- ΔH_f (0 K) (eV/atom) = -2.42



This record from Materials Project describes an optimized crystal structure of LaNiO3. The functional is PBE+U.

a = 5.468 Å, b = 6.687 Å, c = 6.687 Å
α = 70.42°, β = 90.02°, γ = 90.02°
Element x y z (fractional)
O1 0.258 0.371 0.372
Ni1 0.500 0.751 0.751
La1 0.500 0.253 0.747
O2 0.500 0.000 0.500
O3 0.000 0.759 0.240
La2 0.500 0.747 0.253
O4 0.000 0.240 0.759
O5 0.253 0.127 0.127
Ni2 0.000 0.500 0.500
O6 0.745 0.126 0.126
La3 0.000 0.500 0.000
O7 0.747 0.873 0.873
La4 0.000 0.000 0.500
O8 0.255 0.874 0.874
O9 0.744 0.370 0.371
O10 0.500 0.500 0.000
Ni3 0.500 0.249 0.249
Ni4 0.000 0.000 0.000
O11 0.742 0.628 0.629
O12 0.256 0.630 0.630

Values from the calculation:
- uncorrected energy (eV per atom) = -6.620
- ΔH_f (0 K) (eV/atom) = -2.43



This record from Materials Project describes an optimized crystal structure of Co6OF11. The functional is PBE+U.

a = 4.751 Å, b = 5.706 Å, c = 7.897 Å
α = 86.74°, β = 89.60°, γ = 89.53°
Element x y z (fractional)
F1 0.201 0.706 0.094
F2 0.206 0.030 0.765
Co1 0.497 0.168 0.335
Co2 0.005 0.665 0.330
F3 0.805 0.628 0.566
Co3 0.504 0.829 0.664
F4 0.304 0.867 0.433
F5 0.191 0.366 0.443
F6 0.700 0.799 0.897
F7 0.302 0.534 0.767
Co4 0.988 0.327 0.685
F8 0.692 0.469 0.236
O1 0.792 0.304 0.903
F9 0.803 0.968 0.230
F10 0.702 0.128 0.565
Co5 0.990 0.019 0.991
F11 0.298 0.204 0.103
Co6 0.519 0.488 0.994

Values from the calculation:
- uncorrected energy (eV per atom) = -5.146
- ΔH_f (0 K) (eV/atom) = -2.20



This record from Materials Project describes an optimized crystal structure of AlNiF5. The functional is PBE+U.

a = 5.160 Å, b = 5.160 Å, c = 5.160 Å
α = 140.03°, β = 105.90°, γ = 87.69°
Element x y z (fractional)
F1 0.202 0.500 0.702
Al1 0.500 0.500 0.000
F2 0.500 0.000 0.500
F3 0.741 0.741 0.000
F4 0.798 0.500 0.298
F5 0.259 0.259 0.000
Ni1 0.000 0.000 0.000

Values from the calculation:
- uncorrected energy (eV per atom) = -5.184
- ΔH_f (0 K) (eV/atom) = -3.15